Run i
NiP2O7, optimized geometry, DFT PBE with a Hubbard U; V = 13.14 A^3/atom
1.0
8.195 0.000 0.000
0.000 7.255 0.000
0.000 3.019 8.842
Ni P O
4 8 28
Cartesian
8.148 2.420 2.192 Ni
4.143 3.930 6.613 Ni
0.046 7.854 6.650 Ni
4.051 6.344 2.229 Ni
5.719 8.845 8.291 P
1.622 2.938 4.972 P
6.573 7.336 3.870 P
2.153 5.811 4.959 P
1.944 4.302 0.537 P
6.041 4.463 3.884 P
2.475 1.429 0.551 P
6.251 5.972 8.305 P
3.399 0.818 1.606 O
3.113 2.850 5.308 O
2.627 5.990 3.515 O
5.082 7.424 3.534 O
2.712 3.883 7.989 O
1.471 7.499 7.936 O
3.311 5.598 5.950 O
1.210 4.501 4.979 O
7.408 6.186 7.313 O
5.568 4.284 5.327 O
7.210 8.933 7.955 O
4.883 4.676 2.892 O
1.385 2.374 3.568 O
5.482 6.391 0.853 O
0.786 4.088 1.529 O
5.361 4.793 7.970 O
2.833 5.481 0.873 O
6.931 3.284 3.549 O
1.264 6.990 5.294 O
7.496 7.946 2.815 O
2.888 2.991 0.558 O
0.985 1.341 0.887 O
6.810 7.900 5.274 O
4.796 9.456 7.236 O
5.307 7.283 8.284 O
0.699 2.328 6.027 O
6.985 5.773 3.863 O
6.724 2.775 0.906 O

=====

Run ii
NiP2O7, optimized geometry, DFT PBE with a Hubbard U; V = 14.35 A^3/atom
1.0
6.380 0.000 0.000
2.580 9.251 0.000
1.701 4.389 9.726
Ni P O
4 8 28
Cartesian
3.426 3.409 2.461 Ni
6.162 4.492 7.548 Ni
4.546 9.187 2.195 Ni
7.313 10.355 7.301 Ni
2.549 6.571 2.034 P
8.115 7.152 7.695 P
4.001 6.377 9.417 P
6.539 2.700 2.984 P
5.015 3.799 5.289 P
4.146 11.003 6.849 P
6.681 7.344 0.312 P
5.638 9.925 4.523 P
3.175 7.904 1.696 O
2.406 7.135 6.315 O
7.823 6.349 0.858 O
9.383 10.453 2.854 O
5.394 3.143 2.079 O
4.520 10.785 5.285 O
1.413 3.523 2.778 O
7.459 5.838 8.068 O
7.475 10.858 9.190 O
6.082 2.887 4.516 O
1.591 0.856 0.480 O
5.823 10.590 3.117 O
9.267 10.156 7.114 O
9.104 12.861 9.259 O
1.342 3.254 6.983 O
4.630 5.661 8.224 O
6.033 8.006 1.516 O
3.479 5.370 2.012 O
5.339 10.467 7.647 O
4.854 3.119 6.697 O
3.776 3.917 4.450 O
5.729 5.103 5.727 O
8.230 6.519 3.401 O
2.855 7.354 8.857 O
7.219 8.380 7.724 O
4.984 8.598 4.069 O
3.191 2.842 0.542 O
6.878 9.864 5.385 O

=====

Q: Which of them is the most stable? A: run i.